Density functional theory data (PBE with a Hubbard U) for a relaxed structure of V2OF5.

ρ: 3.30 g cm⁻³
calculated formation energy: -3.02 eV/atom
E (MP2020): -7.108 eV/atom
energy above the lowest structure with this stoichiometry: 23 meV per atom

Structure (extended XYZ):
```
24
Lattice="2.6187 -4.5357 0.0000 2.6187 4.5357 0.0000 0.0000 0.0000 13.5263" Properties=species:S:1:pos:R:3 pbc="T T T"
F 1.2501 -1.5106 11.2704
F 2.7499 -1.1306 9.0596
F 0.1719 -0.2977 9.0175
F 2.2229 -1.5889 4.5508
F 1.2501 1.5106 2.2558
F 2.8833 -1.8162 0.0421
F 2.2229 1.5889 8.9754
F 3.3041 0.3274 11.2734
F 2.8833 1.8162 13.4842
F 3.3018 2.6978 6.7646
F 3.3041 -0.3274 2.2529
F 2.7499 1.1306 4.4667
F 4.8936 0.0000 0.0000
F 0.1719 0.2977 4.5088
F 3.3018 -2.6978 6.7617
V 1.8777 -3.0146 12.3441
V 4.2906 1.4023 5.6909
V 1.6878 0.1188 10.1997
V 1.6878 -0.1188 3.3266
V 1.8777 3.0146 1.1822
V 4.2906 -1.4023 7.8354
O 0.6415 1.1110 11.2719
O 0.6415 -1.1110 2.2544
O 3.9545 0.0000 6.7631
```

Density functional theory data (PBE with a Hubbard U) for a relaxed structure of V2O3F.

ρ: 4.20 g cm⁻³
calculated formation energy: -2.66 eV/atom
E (MP2020): -8.486 eV/atom
energy above the lowest structure with this stoichiometry: 5 meV per atom

Structure (extended XYZ):
```
24
Lattice="4.7038 -0.1646 0.0000 -0.1646 4.7038 0.0000 0.0000 0.0000 12.0980" Properties=species:S:1:pos:R:3 pbc="T T T"
V 2.4833 2.0559 1.5089
V 4.6834 -0.1442 3.0244
V 2.0558 2.4833 7.5579
V 4.7037 -0.1646 0.0001
V 4.7037 -0.1645 6.0488
V 2.4833 2.0559 4.5401
V -0.1442 4.6833 9.0735
V 2.0558 2.4833 10.5891
F 0.8096 3.7296 4.5363
F 3.7297 0.8095 10.5854
F 3.7296 0.8095 7.5616
F 0.8096 3.7295 1.5126
O 3.1427 3.1426 0.0000
O 1.3966 1.3965 0.0000
O 3.1427 3.1426 6.0490
O 3.7465 0.7927 1.5116
O 1.4135 1.3762 3.0245
O 0.7927 3.7465 7.5605
O 3.1257 3.1629 9.0735
O 3.7465 0.7927 4.5374
O 1.3763 1.4135 9.0735
O 3.1630 3.1256 3.0245
O 0.7927 3.7465 10.5865
O 1.3966 1.3965 6.0490
```

Density functional theory data (PBE with a Hubbard U) for a relaxed structure of V3O7F.

ρ: 3.48 g cm⁻³
calculated formation energy: -2.30 eV/atom
E (MP2020): -8.101 eV/atom

Structure (extended XYZ):
```
44
Lattice="-0.4180 0.5497 -3.5474 9.0519 -3.8170 -1.6580 -6.0474 -13.7267 -1.4146" Properties=species:S:1:pos:R:3 pbc="T T T"
O -4.7447 -13.0418 -3.3076
O -1.9289 -5.9050 -4.3648
O 3.2804 -7.5206 -1.5879
O -1.1699 -12.1629 -5.4111
O -0.6939 -9.4734 -5.0321
O 2.5306 -2.8742 -2.6205
O -1.1312 -7.9276 -2.8912
O 0.3506 -6.8662 -4.7824
O 3.7563 -4.8311 -1.2089
O 2.0913 -1.3256 -0.4968
O 3.7177 -9.0665 -3.7288
O 4.1746 -12.9627 -4.3238
O 7.4032 -6.3689 -1.8768
O 5.0517 -2.9910 -2.8948
O 0.0849 -1.8429 -2.1725
O -3.1396 -8.4421 -4.5841
O 0.4952 -15.6684 -6.1232
O -1.5881 -4.0313 -2.2961
O 7.3312 -3.9522 -3.3123
O -4.8168 -10.6251 -4.7431
O 2.0588 -5.5691 -2.9641
O 0.0559 -14.1199 -3.9995
O 5.7261 -8.5519 -2.0359
O 2.5016 -15.1512 -4.4475
O 0.5277 -11.4249 -3.6558
O -2.4652 -14.0030 -3.7251
O 2.2359 -10.1278 -1.8376
O 4.5154 -11.0890 -2.2551
V -1.4455 -7.9545 -4.5453
V 1.9762 -6.2870 -1.2240
V -4.7367 -11.4115 -3.0343
V 3.8392 -4.1134 -2.9476
V 0.6103 -10.7070 -5.3960
V -1.2527 -12.8806 -3.6724
V 7.3232 -5.5826 -3.5857
V 4.0320 -9.0395 -2.0747
V 0.8445 -15.6874 -4.1725
V -1.5079 -4.8179 -0.5858
V 1.7420 -1.3066 -2.4475
V 4.0943 -12.1761 -6.0341
F 2.0353 -12.1623 -5.7868
F 0.5512 -4.8317 -0.8331
F -2.6770 -11.4260 -3.2766
F 5.2635 -5.5680 -3.3433
```

Density functional theory data (PBE with a Hubbard U) for a relaxed structure of V6O5F19.

ρ: 2.90 g cm⁻³
calculated formation energy: -2.74 eV/atom
E (MP2020): -6.591 eV/atom
energy above the lowest structure with this stoichiometry: 2 meV per atom

Structure (extended XYZ):
```
30
Lattice="-4.9395 -1.8702 0.4978 1.6940 -3.1708 4.1966 -3.8938 12.2468 7.3756" Properties=species:S:1:pos:R:3 pbc="T T T"
F -4.6522 8.6297 8.6927
F -0.0781 -2.7766 3.7061
F -4.3943 5.6090 9.8257
F -4.8209 -0.4138 1.4425
F -0.1179 0.5066 4.2878
F -2.1192 7.7424 10.5065
F -2.6280 1.4962 2.4264
F -2.6974 6.0134 7.9228
F -6.8796 6.5885 7.8796
F -6.4606 8.3018 10.5051
F -4.5547 1.1773 4.1439
F -4.2077 3.6876 4.5458
F -0.8272 0.9074 6.8094
F -2.0223 5.6326 5.4428
F -2.0254 2.3134 4.8149
F -2.2505 -1.4037 3.4741
F -2.8381 3.4239 7.7113
F -3.8088 7.4908 5.8641
F -4.9964 1.5394 6.7716
O -3.2077 -0.2841 6.2929
O -0.6984 -1.0575 1.4675
O -7.0077 9.9491 8.4743
O -6.3757 6.2869 5.2600
O -5.0854 4.8721 7.3214
V -0.1800 -0.1237 0.1961
V -5.7782 9.6919 9.5553
V -0.2461 2.0106 5.2074
V -3.6964 2.6735 3.1973
V -3.8524 4.6981 8.4094
V -6.9593 5.4264 6.5483
```

Density functional theory data (PBE with a Hubbard U) for a relaxed structure of VOF3.

ρ: 2.81 g cm⁻³
calculated formation energy: -2.62 eV/atom
E (MP2020): -6.571 eV/atom

Structure (extended XYZ):
```
20
Lattice="4.8556 0.0000 0.0000 0.0000 5.1130 0.0000 0.0000 0.0000 11.7944" Properties=species:S:1:pos:R:3 pbc="T T T"
F 0.7008 3.9634 2.2089
F 0.7008 3.7061 8.1061
F 1.8124 1.4459 3.8322
F 3.0432 3.6672 3.8322
F 3.8635 1.3683 5.3061
F 3.0432 4.0024 9.7294
F 3.8635 1.1882 11.2033
F 0.9921 3.9248 11.2033
F 0.9921 3.7447 5.3061
F 4.1548 1.1496 2.2089
F 4.1548 1.4069 8.1061
F 1.8124 1.1106 9.7294
V 2.4278 0.0000 10.9590
V 2.4278 2.5565 5.0617
V 0.0000 2.5565 7.0069
V 0.0000 0.0000 1.1097
O 1.4043 1.6823 6.3986
O 3.4513 4.2388 0.5014
O 3.4513 3.4307 6.3986
O 1.4043 0.8742 0.5014
```

Density functional theory data (PBE with a Hubbard U) for a relaxed structure of VOF2.

ρ: 3.19 g cm⁻³
calculated formation energy: -2.85 eV/atom
E (MP2020): -7.314 eV/atom

Structure (extended XYZ):
```
16
Lattice="-1.3426 -4.4128 2.6311 3.7909 -2.7093 2.7015 -2.5584 7.0085 5.4345" Properties=species:S:1:pos:R:3 pbc="T T T"
V -2.5057 6.8515 5.4504
V 1.2497 -3.7473 5.3398
V -1.2535 3.3180 5.3906
V -0.0026 -0.2138 5.3992
O -0.6932 1.7510 5.2544
O -1.9454 5.2809 5.5642
O 0.5576 -1.7843 5.5127
O 1.8101 -5.3146 5.2041
F -2.8806 2.8913 6.4200
F -1.1150 -0.2348 7.0311
F -1.6084 -0.6211 4.3289
F -0.3202 3.7343 7.0811
F 1.4572 0.6252 6.4382
F 0.9649 0.2388 3.7376
F 0.1701 -3.7309 3.6857
F 2.7311 -2.8879 4.3492
```

Density functional theory data (PBE with a Hubbard U) for a relaxed structure of VOF3.

ρ: 2.94 g cm⁻³
calculated formation energy: -2.66 eV/atom
E (MP2020): -6.620 eV/atom

Structure (extended XYZ):
```
20
Lattice="4.9142 0.0000 0.0000 0.0000 5.6502 0.0000 0.0000 0.0000 10.0717" Properties=species:S:1:pos:R:3 pbc="T T T"
F 0.8612 5.3397 4.0347
F 3.3183 2.5146 1.0011
F 1.7046 0.3294 9.0930
F 3.3183 0.3105 6.0369
F 0.8612 3.1356 9.0706
F 4.1617 3.1545 6.0145
F 3.6624 0.9878 3.1279
F 1.2053 3.8129 1.9079
F 1.2053 4.6624 6.9437
F 3.6624 1.8373 8.1638
F 1.7046 2.4957 4.0572
F 4.1617 5.3208 0.9786
O 3.7392 4.5897 8.2142
O 1.2821 1.7646 6.8933
O 3.7392 3.8856 3.1784
O 1.2821 1.0605 1.8574
V 4.7603 5.0018 2.6165
V 2.3032 2.1767 2.4193
V 2.3032 0.6484 7.4552
V 4.7603 3.4735 7.6523
```

Density functional theory data (PBE with a Hubbard U) for a relaxed structure of VOF3.

ρ: 2.98 g cm⁻³
calculated formation energy: -2.66 eV/atom
piezoelectric modulus e_max: 2.9 C/m2
E (MP2020): -6.614 eV/atom

Structure (extended XYZ):
```
10
Lattice="2.3659 6.6574 0.0000 -2.3659 6.6574 0.0000 0.0000 1.5654 4.3797" Properties=species:S:1:pos:R:3 pbc="T T T"
F -0.3142 1.2998 0.5080
F 0.2096 5.8295 1.2329
F 0.2096 9.0507 3.1467
F -0.3592 9.5523 0.3270
F -0.3592 5.3278 4.0527
F -0.3142 13.5803 3.8716
V 1.3746 10.3471 3.4607
V 1.3746 4.5330 0.9189
O 0.1623 11.4308 2.0812
O 0.1623 3.4494 2.2984
```